A relaxed structure of CsKMo4P6O26. Source: the Materials Project, functional PBE+U.

## Properties
- total magnetization (μB/atom) = 0.11
- formation energy (eV per atom) = -2.466
- calculated volume (Å³/cell) = 2383.0
- electronic total energy (eV per cell) = -1078.2

Lattice parameters (Å, degrees): 6.4930 19.1906 19.1362 90.00 91.99 90.00
Space group P2_1/c (No. 14)
Unique sites:
Cs 0.1125 0.1558 0.0742
K 0.3013 0.5006 0.7787
Mo 0.1040 0.1578 0.7180
Mo 0.1282 0.1289 0.4452
Mo 0.3723 0.6230 0.5622
Mo 0.3954 0.6664 0.2784
P 0.1076 0.0319 0.5969
P 0.1097 0.1793 0.2715
P 0.1283 0.0847 0.8948
P 0.3697 0.5938 0.0997
P 0.3907 0.6692 0.7336
P 0.3956 0.5392 0.4024
O 0.0645 0.5944 0.5616
O 0.0702 0.0177 0.4191
O 0.0829 0.6556 0.2726
O 0.0930 0.0597 0.6725
O 0.0975 0.2082 0.6444
O 0.1000 0.0994 0.8175
O 0.1109 0.2419 0.7869
O 0.1250 0.1367 0.3391
O 0.1281 0.0925 0.5465
O 0.1540 0.2145 0.4683
O 0.1767 0.0019 0.9035
O 0.1917 0.6313 0.0612
O 0.2098 0.6477 0.7794
O 0.2906 0.1560 0.2257
O 0.3068 0.1234 0.9332
O 0.3239 0.5103 0.0951
O 0.3440 0.7099 0.5462
O 0.3704 0.5989 0.4545
O 0.3756 0.6234 0.6672
O 0.3896 0.7472 0.7139
O 0.3972 0.6097 0.1779
O 0.4034 0.7127 0.3547
O 0.4154 0.1462 0.7236
O 0.4146 0.5677 0.3275
O 0.4285 0.5101 0.5784
O 0.4335 0.1015 0.4412